Density functional theory data (PBE with a Hubbard U) for an optimized crystal structure of Mn4P3O12.

POSCAR file:
```
Mn4P3O12
1.0
4.2453 2.4510 8.5298
-4.2453 2.4510 8.5298
0.0000 -4.9020 8.5298
Mn P O
8 6 24
Direct
0.0000 0.0000 0.0000
0.0178 0.4783 0.6745
0.1745 0.9783 0.5178
0.4783 0.6745 0.0178
0.5000 0.5000 0.5000
0.5178 0.1745 0.9783
0.6745 0.0178 0.4783
0.9783 0.5178 0.1745
0.1155 0.7911 0.3816
0.2912 0.6155 0.8816
0.3816 0.1155 0.7912
0.6155 0.8816 0.2912
0.7912 0.3816 0.1155
0.8816 0.2911 0.6155
0.9997 0.2777 0.4169
0.0905 0.7321 0.9966
0.1027 0.9495 0.3855
0.1768 0.1919 0.8090
0.1919 0.8090 0.1768
0.2321 0.5905 0.4966
0.2777 0.4169 0.9997
0.3090 0.6919 0.6768
0.3855 0.1027 0.9495
0.4169 0.9997 0.2777
0.4495 0.6027 0.8855
0.4966 0.2321 0.5905
0.4997 0.9169 0.7777
0.5905 0.4966 0.2321
0.6027 0.8855 0.4495
0.6768 0.3090 0.6919
0.6919 0.6768 0.3090
0.7321 0.9966 0.0905
0.7777 0.4997 0.9169
0.8090 0.1768 0.1919
0.8855 0.4495 0.6027
0.9169 0.7777 0.4997
0.9495 0.3855 0.1027
0.9966 0.0905 0.7321
```

Summary:
E_tot in Ha/atom: -0.2784
ΔE_f in eV/atom: -2.453